(1)
Here is a geometry-optimized Ti3Mn2CuP6O24 structure from Materials Project. Energies are from PBE with a Hubbard U.

Summary:
* crystal system: trigonal
* formation energy from the elements: -267 kJ/mol of atoms
* VASP energy: -7.694 eV/atom

```
36
Lattice="7.473 -4.329 0.000 7.473 4.329 0.000 4.965 0.000 7.067" Properties=species:S:1:pos:R:3 pbc="T T T"
O 13.303 0.817 6.212
O 8.715 2.555 5.712
O 11.044 -0.581 5.396
O 5.693 -0.905 3.440
O 14.244 0.808 3.559
O 13.771 -1.625 4.893
O 8.775 0.673 1.684
O 6.102 1.611 2.288
O 3.781 1.632 1.344
O 6.626 -0.706 0.810
O 4.255 -0.814 0.009
O 9.213 -3.415 4.308
O 6.920 0.871 6.454
O 13.024 -0.933 0.664
O 9.062 2.828 0.417
O 11.910 -0.915 2.955
O 7.904 0.831 4.139
O 11.423 3.698 5.176
O 11.574 1.496 3.903
O 10.693 0.860 0.137
O 3.309 -0.818 2.673
O 8.558 -3.698 1.838
O 8.294 -1.504 3.040
O 10.882 -2.764 6.699
P 11.714 3.047 3.830
P 12.442 -1.790 1.779
P 10.677 -1.257 6.752
P 8.234 -3.057 3.230
P 9.265 1.278 0.325
P 7.494 1.779 5.315
Mn 19.819 0.000 7.034
Mn 9.939 0.000 3.527
Cu 16.995 0.000 6.031
Ti 2.861 0.000 1.015
Ti 12.884 0.000 4.573
Ti 7.044 0.000 2.500
```


(2)
Here is a geometry-optimized Mn2V3CuP6O24 structure from Materials Project. Energies are from PBE with a Hubbard U.

Summary:
* crystal system: trigonal
* formation energy from the elements: -240 kJ/mol of atoms
* VASP energy: -7.381 eV/atom

```
36
Lattice="-6.804 -2.717 4.522 -7.485 4.305 -0.412 -6.785 -3.504 -4.051" Properties=species:S:1:pos:R:3 pbc="T T T"
O -14.863 -1.369 1.880
O -8.688 -0.889 -1.331
O -9.222 3.112 0.334
O -12.404 -1.074 1.292
O -5.073 1.562 -0.388
O -8.550 1.121 2.296
O -3.444 -0.732 -0.972
O -11.152 -0.913 -2.183
O -7.251 -2.862 -1.961
O -10.251 1.142 -0.855
O -14.116 -0.255 -0.283
O -9.362 -4.349 -0.697
O -11.636 2.347 0.768
O -12.512 -2.951 -2.161
O -9.958 -0.902 2.210
O -17.558 -1.118 1.086
O -10.715 -3.035 0.893
O -7.613 -1.121 3.176
O -13.514 -0.758 -3.049
O -16.104 -3.443 0.427
O -6.176 -0.646 -1.860
O -7.065 -1.692 0.319
O -11.797 -5.060 -0.205
O -13.873 0.868 2.031
V -9.646 0.340 -2.584
V -11.429 -2.259 2.651
V -15.148 -0.480 -1.884
P -12.268 -1.710 -2.955
P -10.570 2.562 -0.255
P -10.497 -4.484 0.345
P -13.826 -0.426 1.226
P -7.255 -1.516 -1.152
P -8.826 -0.208 3.037
Cu -5.909 -1.413 1.896
Mn -10.532 -0.952 0.018
Mn -6.778 -2.680 4.447
```